Record 1
An optimized crystal structure of Pr5Ni19, computed with PBE. Values from VASP.

```
&SYSTEM
  ibrav = 0, nat = 48, ntyp = 2
/
ATOMIC_SPECIES
Ni 58.69 Ni.upf
Pr 140.91 Pr.upf
CELL_PARAMETERS angstrom
-2.5048 -4.3426 0.0000
-2.5048 4.3426 0.0000
0.0000 0.0000 -32.5134
ATOMIC_POSITIONS crystal
Ni 0.6667 0.3333 0.3727
Ni 0.8326 0.6652 0.3107
Ni 0.1655 0.3313 0.5664
Ni 0.3313 0.1655 0.4336
Pr 0.6667 0.3333 0.5227
Ni 0.1657 0.8343 0.5663
Ni 0.8345 0.6687 0.4336
Ni 0.8327 0.1673 0.3106
Ni 0.6687 0.8345 0.9336
Ni 0.0000 0.0000 0.5000
Pr 0.3333 0.6667 0.4773
Ni 0.3333 0.6667 0.6273
Ni 0.1657 0.8343 0.9337
Ni 0.3348 0.1674 0.3107
Ni 0.3333 0.6667 0.7500
Pr 0.3333 0.6667 0.0227
Ni 0.8343 0.1657 0.4337
Ni 0.8327 0.1673 0.1894
Ni 0.8343 0.1657 0.0663
Ni 0.6652 0.8326 0.6893
Ni 0.1674 0.3348 0.8107
Pr 0.6667 0.3333 0.6328
Ni 0.0000 0.0000 0.7500
Ni 0.0000 0.0000 0.2500
Pr 0.3333 0.6667 0.3672
Ni 0.8345 0.6687 0.0664
Ni 0.8326 0.6652 0.1893
Pr 0.6667 0.3333 0.8672
Ni 0.6687 0.8345 0.5664
Pr 0.3333 0.6667 0.2500
Ni 0.3348 0.1674 0.1893
Ni 0.0000 0.0000 0.1280
Ni 0.6667 0.3333 0.2500
Ni 0.6667 0.3333 0.1273
Ni 0.1673 0.8327 0.8106
Ni 0.1655 0.3313 0.9336
Ni 0.3313 0.1655 0.0664
Pr 0.3333 0.6667 0.1328
Ni 0.0000 0.0000 0.6280
Ni 0.1674 0.3348 0.6893
Pr 0.6667 0.3333 0.9773
Ni 0.0000 0.0000 0.0000
Ni 0.0000 0.0000 0.8720
Ni 0.6652 0.8326 0.8107
Pr 0.6667 0.3333 0.7500
Ni 0.3333 0.6667 0.8727
Ni 0.0000 0.0000 0.3720
Ni 0.1673 0.8327 0.6894
```

Calculated values
space group = P6_3/mmc (194)
ΔE_f = -279 meV per atom
polymorph energy (0 for the lowest one) = 0.00 eV per formula unit

***

Record 2
An optimized crystal structure of PrSbO4, computed with PBE. Values from VASP.

```
&SYSTEM
  ibrav = 0, nat = 24, ntyp = 3
/
ATOMIC_SPECIES
Sb 121.76 Sb.upf
O 16.00 O.upf
Pr 140.91 Pr.upf
CELL_PARAMETERS angstrom
-2.5007 -4.9481 0.7714
2.2203 -2.2318 -7.1184
6.9010 -3.2362 1.6130
ATOMIC_POSITIONS crystal
Sb 0.7674 0.3014 0.3365
Sb 0.7326 0.8014 0.3365
O 0.9978 0.8697 0.1729
O 0.6408 0.0551 0.3310
O 0.0891 0.2037 0.4389
O 0.5891 0.2963 0.5611
O 0.9757 0.3264 0.1207
O 0.0243 0.6736 0.8793
Pr 0.7741 0.3993 0.8492
Sb 0.2326 0.6986 0.6635
O 0.4109 0.7037 0.4389
O 0.1408 0.4449 0.6690
O 0.8592 0.5551 0.3310
Pr 0.7259 0.8993 0.8492
O 0.5243 0.8264 0.1207
O 0.9109 0.7963 0.5611
O 0.4978 0.6303 0.8271
Pr 0.2741 0.1007 0.1508
O 0.5022 0.3697 0.1729
Pr 0.2259 0.6007 0.1508
O 0.3592 0.9449 0.6690
O 0.0022 0.1303 0.8271
O 0.4757 0.1736 0.8793
Sb 0.2674 0.1986 0.6635
```

Calculated values
space group = P2_1/c (14)
ΔE_f = -2783 meV per atom
total energy after the MP2020 corrections = -181.610 eV for the cell shown

***

Record 3
An optimized crystal structure of K2RbAsF6, computed with PBE. Values from VASP.

```
&SYSTEM
  ibrav = 0, nat = 10, ntyp = 4
/
ATOMIC_SPECIES
K 39.10 K.upf
F 19.00 F.upf
Rb 85.47 Rb.upf
As 74.92 As.upf
CELL_PARAMETERS angstrom
0.0000 4.7064 4.7064
4.7064 0.0000 4.7064
4.7064 4.7064 0.0000
ATOMIC_POSITIONS crystal
K 0.2500 0.2500 0.2500
F 0.7805 0.7805 0.2195
K 0.7500 0.7500 0.7500
F 0.7805 0.2195 0.2195
F 0.7805 0.2195 0.7805
Rb 0.5000 0.5000 0.5000
F 0.2195 0.2195 0.7805
As 0.0000 0.0000 0.0000
F 0.2195 0.7805 0.7805
F 0.2195 0.7805 0.2195
```

Calculated values
space group = Fm-3m (225)
ΔE_f = -2718 meV per atom
total energy after the MP2020 corrections = -46.527 eV for the cell shown

***

Record 4
An optimized crystal structure of Li2ZnI4, computed with PBE. Values from VASP.

```
&SYSTEM
  ibrav = 0, nat = 28, ntyp = 3
/
ATOMIC_SPECIES
I 126.90 I.upf
Li 6.94 Li.upf
Zn 65.41 Zn.upf
CELL_PARAMETERS angstrom
-6.1683 2.5594 2.3023
-3.7179 -7.7270 -1.3711
3.4940 -4.1637 13.9901
ATOMIC_POSITIONS crystal
I 0.7540 0.5091 0.1666
I 0.2540 0.4909 0.3334
Li 0.5012 0.7500 0.7655
I 0.2263 0.7500 0.0897
I 0.7460 0.9909 0.6666
I 0.2522 0.2500 0.5749
I 0.7540 0.9909 0.1666
Zn 0.5964 0.7500 0.0866
I 0.7478 0.7500 0.4251
Zn 0.4036 0.2500 0.9134
Li 0.4988 0.2500 0.2345
I 0.2460 0.4909 0.8334
I 0.7460 0.5091 0.6666
Li 0.0012 0.2500 0.7345
I 0.2737 0.7500 0.5897
Li 0.5000 0.5000 0.5000
I 0.7522 0.7500 0.9251
Zn 0.9036 0.7500 0.5866
Zn 0.0964 0.2500 0.4134
Li 0.0000 0.0000 0.0000
I 0.7737 0.2500 0.9103
Li 0.9988 0.7500 0.2655
I 0.2540 0.0091 0.3334
Li 0.0000 0.5000 0.0000
I 0.2460 0.0091 0.8334
Li 0.5000 0.0000 0.5000
I 0.2478 0.2500 0.0749
I 0.7263 0.2500 0.4103
```

Calculated values
space group = Pnma (62)
ΔE_f = -1159 meV per atom
total energy after the MP2020 corrections = -77.160 eV for the cell shown

***

Record 5
An optimized crystal structure of MgTe4Mo2W2S4, computed with PBE. Values from VASP.

```
&SYSTEM
  ibrav = 0, nat = 13, ntyp = 5
/
ATOMIC_SPECIES
Te 127.60 Te.upf
S 32.06 S.upf
W 183.84 W.upf
Mo 95.94 Mo.upf
Mg 24.30 Mg.upf
CELL_PARAMETERS angstrom
-1.3094 1.1085 2.8883
-0.8039 -3.0570 -1.1472
35.1023 -17.7651 22.7373
ATOMIC_POSITIONS crystal
Te 0.6666 0.3333 0.0520
S 0.3335 0.6668 0.2485
Te 0.3335 0.6668 0.6228
Te 0.6665 0.3332 0.1357
W 0.6665 0.3333 0.6648
S 0.6666 0.3333 0.4294
Te 0.3334 0.6667 0.7065
Mo 0.6666 0.3333 0.2817
S 0.3334 0.6667 0.3150
Mo 0.3333 0.6667 0.4624
S 0.6665 0.3332 0.4962
Mg 0.0000 0.0000 0.5519
W 0.3335 0.6668 0.0938
```

Calculated values
space group = P3m1 (156)
ΔE_f = -484 meV per atom
total energy after the MP2020 corrections = -84.623 eV for the cell shown
polymorph energy (0 for the lowest one) = 0.58 eV per formula unit

***

Record 6
An optimized crystal structure of Cs2RbAuCl6, computed with PBE. Values from VASP.

```
&SYSTEM
  ibrav = 0, nat = 10, ntyp = 4
/
ATOMIC_SPECIES
Cl 35.45 Cl.upf
Cs 132.91 Cs.upf
Rb 85.47 Rb.upf
Au 196.97 Au.upf
CELL_PARAMETERS angstrom
6.1489 -3.8742 3.2492
2.9755 2.3999 6.9830
-1.0859 -4.4316 6.5236
ATOMIC_POSITIONS crystal
Cl 0.7759 0.2241 0.7759
Cl 0.2241 0.2241 0.7759
Cs 0.2500 0.2500 0.2500
Cl 0.2241 0.7759 0.7759
Cl 0.7759 0.2241 0.2241
Rb 0.5000 0.5000 0.5000
Cl 0.2241 0.7759 0.2241
Cs 0.7500 0.7500 0.7500
Cl 0.7759 0.7759 0.2241
Au 0.0000 0.0000 0.0000
```

Calculated values
space group = Fm-3m (225)
ΔE_f = -1596 meV per atom
total energy after the MP2020 corrections = -33.095 eV for the cell shown

***

Record 7
An optimized crystal structure of Rb2UPt3S6, computed with PBE. Values from VASP.

```
&SYSTEM
  ibrav = 0, nat = 24, ntyp = 4
/
ATOMIC_SPECIES
Pt 195.08 Pt.upf
S 32.06 S.upf
Rb 85.47 Rb.upf
U 238.03 U.upf
CELL_PARAMETERS angstrom
5.4662 -7.9012 5.7637
-3.3045 -7.5932 5.2729
3.2814 -7.2236 -3.7834
ATOMIC_POSITIONS crystal
Pt 0.5038 0.1739 0.4962
Pt 0.8306 0.1694 0.1694
S 0.8195 0.9783 0.4020
Pt 0.1694 0.8306 0.8306
S 0.9783 0.8195 0.8001
Rb 0.2500 0.2500 0.2500
U 0.1677 0.1677 0.8323
S 0.1892 0.4081 0.5919
Rb 0.7500 0.7500 0.7500
Pt 0.1739 0.5038 0.8261
S 0.8001 0.4020 0.9783
Rb 0.6930 0.3070 0.6930
S 0.0217 0.1805 0.1999
S 0.1805 0.0217 0.5980
Pt 0.8261 0.4962 0.1739
U 0.8323 0.8323 0.1677
S 0.8108 0.5919 0.4081
S 0.5919 0.8108 0.1892
S 0.1999 0.5980 0.0217
S 0.4020 0.8001 0.8195
S 0.5980 0.1999 0.1805
Rb 0.3070 0.6930 0.3070
Pt 0.4962 0.8261 0.5038
S 0.4081 0.1892 0.8108
```

Calculated values
space group = Fmmm (69)
ΔE_f = -1200 meV per atom
total energy after the MP2020 corrections = -141.359 eV for the cell shown

***

Record 8
An optimized crystal structure of GaTe4Mo4Se4, computed with PBE. Values from VASP.

```
&SYSTEM
  ibrav = 0, nat = 13, ntyp = 4
/
ATOMIC_SPECIES
Se 78.96 Se.upf
Te 127.60 Te.upf
Mo 95.94 Mo.upf
Ga 69.72 Ga.upf
CELL_PARAMETERS angstrom
0.0000 5.3892 5.3892
5.3892 0.0000 5.3892
5.3892 5.3892 0.0000
ATOMIC_POSITIONS crystal
Se 0.6309 0.1074 0.6309
Te 0.1384 0.1384 0.5848
Se 0.1074 0.6309 0.6309
Mo 0.4044 0.4044 0.7869
Te 0.5848 0.1384 0.1384
Ga 0.0000 0.0000 0.0000
Se 0.6309 0.6309 0.1074
Te 0.1384 0.1384 0.1384
Se 0.6309 0.6309 0.6309
Mo 0.4044 0.4044 0.4044
Mo 0.7869 0.4044 0.4044
Te 0.1384 0.5848 0.1384
Mo 0.4044 0.7869 0.4044
```

Calculated values
space group = F-43m (216)
ΔE_f = -600 meV per atom
total energy after the MP2020 corrections = -80.769 eV for the cell shown

***

Record 9
An optimized crystal structure of Zr2Si2O5, computed with PBE. Values from VASP.

```
&SYSTEM
  ibrav = 0, nat = 9, ntyp = 3
/
ATOMIC_SPECIES
O 16.00 O.upf
Si 28.09 Si.upf
Zr 91.22 Zr.upf
CELL_PARAMETERS angstrom
3.8959 0.0000 0.0000
0.0000 3.8959 0.0000
0.0000 0.0000 5.9594
ATOMIC_POSITIONS crystal
O 0.0000 0.5000 0.2430
O 0.5000 0.0000 0.2430
O 0.5000 0.0000 0.7570
O 0.0000 0.5000 0.7570
Si 0.5000 0.5000 0.7969
Zr 0.0000 0.0000 0.0000
Si 0.5000 0.5000 0.2031
O 0.5000 0.5000 0.5000
Zr 0.0000 0.0000 0.5000
```

Calculated values
space group = P4/mmm (123)
ΔE_f = -2110 meV per atom
total energy after the MP2020 corrections = -71.674 eV for the cell shown

***

Record 10
An optimized crystal structure of HfTiO4, computed with PBE. Values from VASP.

```
&SYSTEM
  ibrav = 0, nat = 24, ntyp = 3
/
ATOMIC_SPECIES
O 16.00 O.upf
Ti 47.87 Ti.upf
Hf 178.49 Hf.upf
CELL_PARAMETERS angstrom
4.7708 0.0000 0.0000
-0.0056 5.6848 0.0000
-0.1671 -0.0261 10.1737
ATOMIC_POSITIONS crystal
O 0.7316 0.8829 0.7969
Ti 0.9965 0.6725 0.3779
O 0.7738 0.3969 0.2883
Hf 0.4991 0.8209 0.1218
O 0.2248 0.6087 0.2185
O 0.2727 0.1218 0.7095
O 0.2810 0.1067 0.2085
O 0.2169 0.3896 0.4701
O 0.7644 0.3803 0.7875
O 0.7103 0.1138 0.0329
O 0.7427 0.8855 0.2947
Ti 0.0022 0.3271 0.6281
O 0.7880 0.6139 0.0310
Ti 0.5020 0.1871 0.8713
O 0.2455 0.3868 0.9544
O 0.2073 0.6098 0.7142
O 0.2582 0.8841 0.9524
O 0.7365 0.1146 0.5494
Hf 0.0017 0.3277 0.1209
O 0.2665 0.8816 0.4566
Ti 0.9998 0.6810 0.8720
Hf 0.4987 0.8176 0.6284
Hf 0.5014 0.1819 0.3794
O 0.7781 0.6073 0.5354
```

Calculated values
space group = P1 (1)
largest piezoelectric modulus = 1.6 C/m2
ΔE_f = -3726 meV per atom
total energy after the MP2020 corrections = -239.994 eV for the cell shown

***

Record 11
An optimized crystal structure of TbBi5O9, computed with PBE. Values from VASP.

```
&SYSTEM
  ibrav = 0, nat = 15, ntyp = 3
/
ATOMIC_SPECIES
O 16.00 O.upf
Bi 208.98 Bi.upf
Tb 158.93 Tb.upf
CELL_PARAMETERS angstrom
3.8884 0.0000 0.0000
0.1654 6.8833 0.0000
1.9184 0.9395 9.3322
ATOMIC_POSITIONS crystal
O 0.6387 0.5439 0.7398
O 0.9553 0.6452 0.0914
Bi 0.6602 0.8711 0.6611
O 0.5910 0.9093 0.8872
O 0.3659 0.4455 0.2904
Tb 0.0207 0.9885 0.0218
Bi 0.1517 0.4082 0.6597
O 0.0592 0.3036 0.8962
O 0.9292 0.9362 0.2760
Bi 0.3322 0.1129 0.3509
Bi 0.5285 0.4573 0.9973
O 0.4746 0.1466 0.1079
Bi 0.8589 0.6097 0.3219
O 0.8499 0.2108 0.5234
O 0.1881 0.7454 0.5673
```

Calculated values
space group = P1 (1)
ΔE_f = -1968 meV per atom
total energy after the MP2020 corrections = -98.136 eV for the cell shown

***

Record 12
An optimized crystal structure of AsRh2, computed with PBE. Values from VASP.

```
&SYSTEM
  ibrav = 0, nat = 3, ntyp = 2
/
ATOMIC_SPECIES
As 74.92 As.upf
Rh 102.91 Rh.upf
CELL_PARAMETERS angstrom
-2.8782 -2.8782 0.0000
-2.8782 0.0000 -2.8782
0.0000 -2.8782 -2.8782
ATOMIC_POSITIONS crystal
As 0.0000 0.0000 0.0000
Rh 0.2500 0.2500 0.2500
Rh 0.7500 0.7500 0.7500
```

Calculated values
space group = Fm-3m (225)
ΔE_f = -460 meV per atom

***

Record 13
An optimized crystal structure of Al3Ru2, computed with PBE. Values from VASP.

```
&SYSTEM
  ibrav = 0, nat = 5, ntyp = 2
/
ATOMIC_SPECIES
Ru 101.07 Ru.upf
Al 26.98 Al.upf
CELL_PARAMETERS angstrom
-2.1063 -3.6482 0.0000
-2.1063 3.6482 0.0000
0.0000 0.0000 -5.1102
ATOMIC_POSITIONS crystal
Ru 0.3333 0.6667 0.8469
Ru 0.6667 0.3333 0.1531
Al 0.6667 0.3333 0.6426
Al 0.0000 0.0000 0.0000
Al 0.3333 0.6667 0.3574
```

Calculated values
space group = P-3m1 (164)
ΔE_f = -467 meV per atom

***

Record 14
An optimized crystal structure of Ce2Co3Ge4Ru, computed with PBE. Values from VASP.

```
&SYSTEM
  ibrav = 0, nat = 10, ntyp = 4
/
ATOMIC_SPECIES
Co 58.93 Co.upf
Ge 72.64 Ge.upf
Ru 101.07 Ru.upf
Ce 140.12 Ce.upf
CELL_PARAMETERS angstrom
-3.7924 1.0729 -1.2043
0.9995 -0.8517 -3.9063
-3.0851 -9.4726 1.2758
ATOMIC_POSITIONS crystal
Co 0.0000 0.5000 0.7500
Ge 0.5000 0.5000 0.8639
Ru 0.0000 0.5000 0.2500
Ge 0.5000 0.5000 0.1251
Co 0.5000 0.0000 0.2500
Co 0.5000 0.0000 0.7500
Ce 0.0000 0.0000 0.9960
Ge 0.0000 0.0000 0.3749
Ge 0.0000 0.0000 0.6361
Ce 0.5000 0.5000 0.5040
```

Calculated values
space group = P-4m2 (115)
ΔE_f = -595 meV per atom

***

Record 15
An optimized crystal structure of Cs3Sm7Te12, computed with PBE. Values from VASP.

```
&SYSTEM
  ibrav = 0, nat = 44, ntyp = 3
/
ATOMIC_SPECIES
Te 127.60 Te.upf
Sm 150.36 Sm.upf
Cs 132.91 Cs.upf
CELL_PARAMETERS angstrom
-0.4709 2.7917 3.5353
-8.7819 -9.0608 5.9852
22.0874 -12.7917 13.0432
ATOMIC_POSITIONS crystal
Te 0.5000 0.8435 0.0197
Sm 0.5000 0.0818 0.6827
Cs 0.0000 0.9392 0.5289
Te 0.5000 0.7473 0.8022
Te 0.5000 0.1525 0.9809
Sm 0.5000 0.9198 0.3181
Sm 0.5000 0.5001 0.5002
Te 0.0000 0.6565 0.5197
Te 0.5000 0.8708 0.4242
Te 0.0000 0.6292 0.9242
Te 0.0000 0.0633 0.1042
Te 0.0000 0.9379 0.8957
Te 0.5000 0.4287 0.8217
Te 0.5000 0.4367 0.6042
Sm 0.0000 0.9108 0.7875
Sm 0.5000 0.4111 0.7126
Sm 0.0000 0.2845 0.5837
Te 0.0000 0.2476 0.6975
Sm 0.5000 0.5892 0.2875
Te 0.5000 0.5719 0.1768
Te 0.5000 0.9389 0.2104
Cs 0.5000 0.5608 0.0289
Te 0.0000 0.5611 0.7104
Te 0.0000 0.3699 0.0763
Te 0.5000 0.2524 0.1975
Te 0.0000 0.7527 0.3022
Te 0.0000 0.0713 0.3217
Sm 0.0000 0.0889 0.2126
Te 0.0000 0.3475 0.4809
Te 0.5000 0.5621 0.3957
Te 0.0000 0.4393 0.2899
Te 0.5000 0.1301 0.5763
Te 0.0000 0.9281 0.6768
Te 0.5000 0.0607 0.7899
Cs 0.0000 0.2176 0.8694
Cs 0.0000 0.7893 0.1335
Sm 0.0000 0.5802 0.8181
Sm 0.5000 0.2155 0.0837
Sm 0.5000 0.7845 0.9150
Cs 0.5000 0.2824 0.3694
Sm 0.0000 0.9999 0.0002
Sm 0.0000 0.7155 0.4150
Cs 0.5000 0.7107 0.6335
Sm 0.0000 0.4182 0.1827
```

Calculated values
space group = Pmn2_1 (31)
ΔE_f = -1651 meV per atom
total energy after the MP2020 corrections = -219.518 eV for the cell shown

***

Record 16
An optimized crystal structure of SmTlO2, computed with PBE. Values from VASP.

```
&SYSTEM
  ibrav = 0, nat = 8, ntyp = 3
/
ATOMIC_SPECIES
Sm 150.36 Sm.upf
Tl 204.38 Tl.upf
O 16.00 O.upf
CELL_PARAMETERS angstrom
1.8040 -3.1246 0.0000
1.8040 3.1246 0.0000
0.0000 0.0000 12.9974
ATOMIC_POSITIONS crystal
Sm 0.0000 0.0000 0.0000
Tl 0.3333 0.6667 0.7500
Sm 0.0000 0.0000 0.5000
Tl 0.6667 0.3333 0.2500
O 0.3333 0.6667 0.4117
O 0.6667 0.3333 0.9117
O 0.6667 0.3333 0.5883
O 0.3333 0.6667 0.0883
```

Calculated values
space group = P6_3/mmc (194)
ΔE_f = -2623 meV per atom
total energy after the MP2020 corrections = -54.937 eV for the cell shown

***

Record 17
An optimized crystal structure of SbRhO4, computed with PBE. Values from VASP.

```
&SYSTEM
  ibrav = 0, nat = 6, ntyp = 3
/
ATOMIC_SPECIES
O 16.00 O.upf
Sb 121.76 Sb.upf
Rh 102.91 Rh.upf
CELL_PARAMETERS angstrom
3.2729 -3.3289 0.0000
3.2729 3.3289 0.0000
0.0000 0.0000 3.2173
ATOMIC_POSITIONS crystal
O 0.1917 0.8083 0.5000
O 0.3063 0.3063 0.0000
O 0.6937 0.6937 0.0000
O 0.8083 0.1917 0.5000
Sb 0.0000 0.0000 0.0000
Rh 0.5000 0.5000 0.5000
```

Calculated values
space group = Cmmm (65)
ΔE_f = -1535 meV per atom
total energy after the MP2020 corrections = -40.493 eV for the cell shown